Record 1
This record from the Materials Project database describes a geometry-optimized LiZr2P3O12 structure. The functional is GGA-PBE.

a b c (Å): 8.979 8.979 9.195
angles (deg): 119.10 119.10 60.40
Fractional coordinates of all 36 atoms:
Li 0.242 0.242 0.279
Li 0.758 0.758 0.721
Zr 0.259 0.530 0.682
Zr 0.470 0.741 0.318
Zr 0.757 0.030 0.179
Zr 0.970 0.243 0.821
P 0.075 0.634 0.998
P 0.154 0.133 0.498
P 0.366 0.925 0.002
P 0.577 0.423 0.500
P 0.652 0.348 0.000
P 0.867 0.846 0.502
O 0.033 0.675 0.521
O 0.052 0.468 0.983
O 0.098 0.603 0.827
O 0.120 0.174 0.664
O 0.182 0.294 0.503
O 0.202 0.105 0.997
O 0.236 0.672 0.161
O 0.325 0.967 0.479
O 0.328 0.764 0.839
O 0.397 0.902 0.173
O 0.399 0.441 0.507
O 0.486 0.383 0.836
O 0.532 0.948 0.017
O 0.559 0.601 0.493
O 0.607 0.261 0.334
O 0.617 0.514 0.164
O 0.677 0.175 0.019
O 0.706 0.818 0.497
O 0.739 0.393 0.666
O 0.825 0.323 0.981
O 0.826 0.880 0.336
O 0.895 0.798 0.003
O 0.900 0.011 0.666
O 0.989 0.100 0.334

Summary:
* energy above the lowest structure with this stoichiometry: 15.9 meV per atom

***

Record 2
This record from the Materials Project database describes a geometry-optimized LiZr2P3O12 structure. The functional is GGA-PBE.

a b c (Å): 9.058 9.058 9.058
angles (deg): 59.13 59.13 59.13
Fractional coordinates of all 36 atoms:
Li 0.000 0.000 0.000
Li 0.500 0.500 0.500
Zr 0.143 0.143 0.143
Zr 0.357 0.357 0.357
Zr 0.643 0.643 0.643
Zr 0.857 0.857 0.857
P 0.044 0.750 0.456
P 0.250 0.544 0.956
P 0.456 0.044 0.750
P 0.544 0.956 0.250
P 0.750 0.456 0.044
P 0.956 0.250 0.544
O 0.002 0.804 0.614
O 0.060 0.911 0.273
O 0.089 0.727 0.940
O 0.114 0.304 0.502
O 0.196 0.386 0.998
O 0.227 0.589 0.440
O 0.273 0.060 0.911
O 0.304 0.502 0.114
O 0.386 0.998 0.196
O 0.411 0.560 0.773
O 0.440 0.227 0.589
O 0.498 0.886 0.696
O 0.502 0.114 0.304
O 0.560 0.773 0.411
O 0.589 0.440 0.227
O 0.614 0.002 0.804
O 0.696 0.498 0.886
O 0.727 0.940 0.089
O 0.773 0.411 0.560
O 0.804 0.614 0.002
O 0.886 0.696 0.498
O 0.911 0.273 0.060
O 0.940 0.089 0.727
O 0.998 0.196 0.386

Summary:
* energy above the lowest structure with this stoichiometry: 17.8 meV per atom

***

Record 3
This record from the Materials Project database describes a geometry-optimized LiZr2P3O12 structure. The functional is GGA-PBE.

a b c (Å): 8.837 8.890 9.161
angles (deg): 91.17 118.79 118.85
Fractional coordinates of all 36 atoms:
Li 0.152 0.183 0.427
Li 0.848 0.817 0.573
Zr 0.286 0.642 0.423
Zr 0.296 0.143 0.931
Zr 0.704 0.857 0.069
Zr 0.714 0.358 0.577
P 0.212 0.747 0.754
P 0.221 0.979 0.257
P 0.485 0.454 0.741
P 0.515 0.546 0.259
P 0.779 0.021 0.743
P 0.788 0.253 0.246
O 0.009 0.919 0.227
O 0.029 0.562 0.723
O 0.151 0.886 0.744
O 0.218 0.002 0.090
O 0.256 0.735 0.612
O 0.272 0.838 0.311
O 0.335 0.457 0.561
O 0.337 0.538 0.258
O 0.345 0.268 0.751
O 0.379 0.166 0.408
O 0.409 0.810 0.937
O 0.420 0.387 0.103
O 0.580 0.613 0.897
O 0.591 0.190 0.063
O 0.621 0.834 0.592
O 0.655 0.732 0.249
O 0.663 0.462 0.742
O 0.665 0.543 0.439
O 0.728 0.162 0.689
O 0.744 0.265 0.388
O 0.782 0.998 0.910
O 0.849 0.114 0.256
O 0.971 0.438 0.277
O 0.991 0.081 0.773

Summary:
* energy above the lowest structure with this stoichiometry: 8.1 meV per atom

***

Record 4
This record from the Materials Project database describes a geometry-optimized LiZr2P3O12 structure. The functional is GGA-PBE.

a b c (Å): 8.957 9.080 15.373
angles (deg): 90.00 124.95 90.00
Fractional coordinates of all 72 atoms:
Li 0.032 0.224 0.321
Li 0.032 0.276 0.821
Li 0.968 0.724 0.179
Li 0.968 0.776 0.679
Zr 0.145 0.545 0.390
Zr 0.145 0.955 0.890
Zr 0.370 0.525 0.121
Zr 0.370 0.975 0.621
Zr 0.630 0.025 0.379
Zr 0.630 0.475 0.879
Zr 0.855 0.045 0.110
Zr 0.855 0.455 0.610
P 0.029 0.098 0.645
P 0.029 0.402 0.145
P 0.244 0.621 0.646
P 0.244 0.879 0.146
P 0.453 0.250 0.489
P 0.453 0.250 0.989
P 0.547 0.750 0.011
P 0.547 0.750 0.511
P 0.756 0.121 0.854
P 0.756 0.379 0.354
P 0.971 0.598 0.855
P 0.971 0.902 0.355
O 0.001 0.748 0.322
O 0.001 0.752 0.822
O 0.055 0.519 0.227
O 0.055 0.981 0.727
O 0.081 0.597 0.655
O 0.081 0.903 0.155
O 0.139 0.555 0.964
O 0.139 0.945 0.464
O 0.183 0.579 0.533
O 0.183 0.921 0.033
O 0.201 0.103 0.646
O 0.201 0.397 0.146
O 0.269 0.165 0.920
O 0.269 0.335 0.420
O 0.295 0.715 0.167
O 0.295 0.785 0.667
O 0.390 0.640 0.444
O 0.390 0.860 0.944
O 0.404 0.522 0.726
O 0.404 0.978 0.226
O 0.440 0.149 0.564
O 0.440 0.351 0.064
O 0.482 0.165 0.414
O 0.482 0.335 0.914
O 0.518 0.665 0.086
O 0.518 0.835 0.586
O 0.560 0.649 0.936
O 0.560 0.851 0.436
O 0.596 0.022 0.774
O 0.596 0.478 0.274
O 0.610 0.140 0.056
O 0.610 0.360 0.556
O 0.705 0.215 0.333
O 0.705 0.285 0.833
O 0.731 0.665 0.580
O 0.731 0.835 0.080
O 0.799 0.603 0.854
O 0.799 0.897 0.354
O 0.817 0.079 0.967
O 0.817 0.421 0.467
O 0.861 0.055 0.536
O 0.861 0.445 0.036
O 0.919 0.097 0.845
O 0.919 0.403 0.345
O 0.945 0.019 0.273
O 0.945 0.481 0.773
O 0.999 0.248 0.178
O 0.999 0.252 0.678

Summary:
* energy above the lowest structure with this stoichiometry: 0.0 meV per atom

***

Record 5
This record from the Materials Project database describes a geometry-optimized LiPaO3 structure. The functional is GGA-PBE.

a b c (Å): 4.339 4.339 4.339
angles (deg): 90.00 90.00 90.00
Fractional coordinates of all 5 atoms:
Li 0.000 0.000 0.000
Pa 0.500 0.500 0.500
O 0.000 0.500 0.500
O 0.500 0.000 0.500
O 0.500 0.500 0.000

***

Record 6
This record from the Materials Project database describes a geometry-optimized Li8PbO6 structure. The functional is GGA-PBE.

a b c (Å): 6.200 6.200 6.200
angles (deg): 53.77 53.77 53.77
Fractional coordinates of all 15 atoms:
Li 0.010 0.397 0.730
Li 0.154 0.154 0.154
Li 0.270 0.990 0.603
Li 0.397 0.730 0.010
Li 0.603 0.270 0.990
Li 0.730 0.010 0.397
Li 0.846 0.846 0.846
Li 0.990 0.603 0.270
Pb 0.500 0.500 0.500
O 0.104 0.741 0.404
O 0.259 0.596 0.896
O 0.404 0.104 0.741
O 0.596 0.896 0.259
O 0.741 0.404 0.104
O 0.896 0.259 0.596

***

Record 7
This record from the Materials Project database describes a geometry-optimized LiRuPbO3 structure. The functional is GGA-PBE.

a b c (Å): 3.873 3.873 5.421
angles (deg): 90.00 90.00 90.00
Fractional coordinates of all 6 atoms:
Li 0.000 0.000 0.000
Ru 0.500 0.500 0.000
Pb 0.000 0.000 0.500
O 0.000 0.500 0.000
O 0.500 0.000 0.000
O 0.500 0.500 0.500

Summary:
* energy above the lowest structure with this stoichiometry: 143.6 meV per atom

***

Record 8
This record from the Materials Project database describes a geometry-optimized LiRuPbO3 structure. The functional is GGA-PBE.

a b c (Å): 6.325 5.651 4.248
angles (deg): 90.00 98.61 90.00
Fractional coordinates of all 12 atoms:
Li 0.000 0.000 0.000
Li 0.500 0.500 0.000
Ru 0.294 0.000 0.704
Ru 0.794 0.500 0.704
Pb 0.171 0.500 0.327
Pb 0.671 0.000 0.327
O 0.044 0.251 0.706
O 0.044 0.749 0.706
O 0.295 0.000 0.205
O 0.544 0.249 0.706
O 0.544 0.751 0.706
O 0.795 0.500 0.205

Summary:
* energy above the lowest structure with this stoichiometry: 0.0 meV per atom

***

Record 9
This record from the Materials Project database describes a geometry-optimized Li2Ti6PbO14 structure. The functional is GGA-PBE.

a b c (Å): 10.115 10.115 11.585
angles (deg): 90.00 90.00 67.51
Fractional coordinates of all 92 atoms:
Li 0.059 0.569 0.876
Li 0.069 0.559 0.376
Li 0.431 0.941 0.876
Li 0.441 0.931 0.376
Li 0.559 0.069 0.624
Li 0.569 0.059 0.124
Li 0.931 0.441 0.624
Li 0.941 0.431 0.124
Ti 0.011 0.775 0.117
Ti 0.013 0.769 0.636
Ti 0.225 0.989 0.117
Ti 0.231 0.987 0.636
Ti 0.243 0.257 0.750
Ti 0.244 0.244 0.500
Ti 0.256 0.256 0.000
Ti 0.257 0.243 0.250
Ti 0.269 0.513 0.136
Ti 0.275 0.511 0.617
Ti 0.487 0.731 0.136
Ti 0.489 0.725 0.617
Ti 0.511 0.275 0.383
Ti 0.513 0.269 0.864
Ti 0.725 0.489 0.383
Ti 0.731 0.487 0.864
Ti 0.743 0.757 0.750
Ti 0.744 0.744 0.000
Ti 0.756 0.756 0.500
Ti 0.757 0.743 0.250
Ti 0.769 0.013 0.364
Ti 0.775 0.011 0.883
Ti 0.987 0.231 0.364
Ti 0.989 0.225 0.883
Pb 0.158 0.842 0.380
Pb 0.342 0.658 0.880
Pb 0.658 0.342 0.120
Pb 0.842 0.158 0.620
O 0.083 0.917 0.621
O 0.089 0.911 0.131
O 0.119 0.354 0.877
O 0.120 0.348 0.373
O 0.129 0.136 0.750
O 0.131 0.131 0.500
O 0.134 0.134 0.000
O 0.136 0.129 0.250
O 0.140 0.643 0.238
O 0.140 0.644 0.515
O 0.143 0.640 0.738
O 0.144 0.640 0.015
O 0.146 0.381 0.623
O 0.152 0.380 0.127
O 0.348 0.120 0.627
O 0.354 0.119 0.123
O 0.356 0.860 0.515
O 0.357 0.860 0.238
O 0.360 0.856 0.015
O 0.360 0.857 0.738
O 0.364 0.371 0.750
O 0.366 0.366 0.500
O 0.369 0.369 0.000
O 0.371 0.364 0.250
O 0.380 0.152 0.873
O 0.381 0.146 0.377
O 0.411 0.589 0.631
O 0.417 0.583 0.121
O 0.583 0.417 0.879
O 0.589 0.411 0.369
O 0.619 0.854 0.623
O 0.620 0.848 0.127
O 0.629 0.636 0.750
O 0.631 0.631 0.000
O 0.634 0.634 0.500
O 0.636 0.629 0.250
O 0.640 0.143 0.262
O 0.640 0.144 0.985
O 0.643 0.140 0.762
O 0.644 0.140 0.485
O 0.646 0.881 0.877
O 0.652 0.880 0.373
O 0.848 0.620 0.873
O 0.854 0.619 0.377
O 0.856 0.360 0.985
O 0.857 0.360 0.262
O 0.860 0.356 0.485
O 0.860 0.357 0.762
O 0.864 0.871 0.750
O 0.866 0.866 0.000
O 0.869 0.869 0.500
O 0.871 0.864 0.250
O 0.880 0.652 0.627
O 0.881 0.646 0.123
O 0.911 0.089 0.869
O 0.917 0.083 0.379

***

Record 10
This record from the Materials Project database describes a geometry-optimized LiPmO3 structure. The functional is GGA-PBE.

a b c (Å): 3.746 3.746 3.746
angles (deg): 90.00 90.00 90.00
Fractional coordinates of all 5 atoms:
Li 0.000 0.000 0.000
Pm 0.500 0.500 0.500
O 0.000 0.000 0.500
O 0.000 0.500 0.000
O 0.500 0.000 0.000

***

Record 11
This record from the Materials Project database describes a geometry-optimized LiPrO3 structure. The functional is GGA-PBE.

a b c (Å): 3.791 3.791 3.791
angles (deg): 90.00 90.00 90.00
Fractional coordinates of all 5 atoms:
Li 0.000 0.000 0.000
Pr 0.500 0.500 0.500
O 0.000 0.000 0.500
O 0.000 0.500 0.000
O 0.500 0.000 0.000

***

Record 12
This record from the Materials Project database describes a geometry-optimized LiPrO2 structure. The functional is GGA-PBE.

a b c (Å): 5.850 6.175 5.864
angles (deg): 90.00 102.41 90.00
Fractional coordinates of all 16 atoms:
Li 0.166 0.140 0.187
Li 0.166 0.360 0.687
Li 0.834 0.640 0.313
Li 0.834 0.860 0.813
Pr 0.298 0.571 0.198
Pr 0.298 0.929 0.698
Pr 0.702 0.071 0.302
Pr 0.702 0.429 0.802
O 0.073 0.633 0.798
O 0.073 0.867 0.298
O 0.411 0.239 0.984
O 0.411 0.261 0.484
O 0.589 0.739 0.516
O 0.589 0.761 0.016
O 0.927 0.133 0.702
O 0.927 0.367 0.202

***

Number 1: corrected total energy (MP2020 scheme) -302.83 eV per cell. Number 2: corrected total energy (MP2020 scheme) -302.77 eV per cell. Number 3: corrected total energy (MP2020 scheme) -303.12 eV per cell. Number 4: corrected total energy (MP2020 scheme) -606.81 eV per cell. Number 5: corrected total energy (MP2020 scheme) -42.99 eV per cell. Number 6: corrected total energy (MP2020 scheme) -78.30 eV per cell. Number 7: corrected total energy (MP2020 scheme) -36.24 eV per cell. Number 8: corrected total energy (MP2020 scheme) -74.20 eV per cell. Number 9: corrected total energy (MP2020 scheme) -791.57 eV per cell. Number 10: corrected total energy (MP2020 scheme) -33.00 eV per cell. Number 11: corrected total energy (MP2020 scheme) -33.04 eV per cell. Number 12: corrected total energy (MP2020 scheme) -115.92 eV per cell.